## Er3SnC (PBE-GGA)

Data for Er3SnC after structural relaxation.

```
Er3SnC
1.0
5.553 0.000 0.000
0.000 5.553 0.000
0.000 0.000 5.553
Er Sn C
3 1 1
Direct
0.000 0.000 0.500
0.000 0.500 0.000
0.500 0.000 0.000
0.000 0.000 0.000
0.500 0.500 0.500
```

Output
* ΔE_f: 717 kJ/mol of formula units